Entry 1:
Density functional theory data (r2SCAN) for an optimized crystal structure of Lu2S3.

Geometry as POSCAR:
```
Lu2S3
1.0
0.000 3.756 0.000
0.000 0.000 10.345
10.365 0.000 0.000
Lu S
8 12
direct
0.250 0.187 0.489
0.250 0.313 0.989
0.750 0.813 0.511
0.750 0.687 0.011
0.750 0.496 0.692
0.750 0.004 0.192
0.250 0.504 0.308
0.250 0.996 0.808
0.250 0.627 0.546
0.250 0.873 0.046
0.750 0.373 0.454
0.750 0.127 0.954
0.750 0.056 0.618
0.750 0.444 0.118
0.250 0.944 0.382
0.250 0.556 0.882
0.250 0.308 0.726
0.250 0.192 0.226
0.750 0.692 0.274
0.750 0.808 0.774
```

Values from the calculation:
**E**: -447.2 eV/cell
**Formation energy from the elements**: -223 kJ per mole of atoms

=====

Entry 2:
Density functional theory data (r2SCAN) for an optimized crystal structure of SrLu2S4.

Geometry as POSCAR:
```
SrLu2S4
1.0
3.904 0.000 0.000
0.000 11.902 0.000
0.000 0.000 14.076
Sr Lu S
4 8 16
direct
0.250 0.760 0.336
0.250 0.260 0.164
0.750 0.240 0.664
0.750 0.740 0.836
0.250 0.438 0.389
0.250 0.938 0.111
0.750 0.562 0.611
0.750 0.062 0.889
0.250 0.418 0.901
0.250 0.918 0.599
0.750 0.582 0.099
0.750 0.082 0.401
0.250 0.205 0.833
0.250 0.705 0.667
0.750 0.795 0.167
0.750 0.295 0.333
0.250 0.126 0.528
0.250 0.626 0.972
0.750 0.874 0.472
0.750 0.374 0.028
0.250 0.027 0.284
0.250 0.527 0.216
0.750 0.973 0.716
0.750 0.473 0.784
0.250 0.413 0.576
0.250 0.913 0.924
0.750 0.587 0.424
0.750 0.087 0.076
```

Values from the calculation:
**E**: -561.9 eV/cell
**Formation energy from the elements**: -235 kJ per mole of atoms

=====

Entry 3:
Density functional theory data (r2SCAN) for an optimized crystal structure of Lu2ZnS4.

Geometry as POSCAR:
```
Lu2ZnS4
1.0
-0.730 -4.478 4.258
-0.104 -5.278 -5.568
13.107 -1.245 0.936
Lu Zn S
8 4 16
direct
0.500 0.500 0.500
0.000 0.500 0.000
0.500 0.000 0.500
0.000 0.000 0.000
0.003 0.750 0.265
0.503 0.250 0.235
0.997 0.250 0.735
0.497 0.750 0.765
0.587 0.750 0.092
0.087 0.250 0.408
0.413 0.250 0.908
0.913 0.750 0.592
0.258 0.490 0.332
0.758 0.510 0.168
0.742 0.990 0.668
0.242 0.010 0.832
0.742 0.510 0.668
0.242 0.490 0.832
0.258 0.010 0.332
0.758 0.990 0.168
0.745 0.750 0.928
0.245 0.250 0.572
0.255 0.250 0.072
0.755 0.750 0.428
0.222 0.750 0.090
0.722 0.250 0.410
0.778 0.250 0.910
0.278 0.750 0.590
```

Values from the calculation:
**E**: -523.6 eV/cell
**Formation energy from the elements**: -189 kJ per mole of atoms

=====

Entry 4:
Density functional theory data (r2SCAN) for an optimized crystal structure of LuSb.

Geometry as POSCAR:
```
LuSb
1.0
3.722 0.000 2.149
1.241 3.510 2.149
0.000 0.000 4.298
Lu Sb
1 1
direct
0.000 0.000 0.000
0.500 0.500 0.500
```

Values from the calculation:
**E**: -66.3 eV/cell
**Formation energy from the elements**: -119 kJ per mole of atoms

=====

Entry 5:
Density functional theory data (r2SCAN) for an optimized crystal structure of Lu5Sb3.

Geometry as POSCAR:
```
Lu5Sb3
1.0
-2.063 -6.468 -4.048
-2.544 -4.025 7.726
-10.676 4.228 -1.313
Lu Sb
20 12
direct
0.194 0.563 0.439
0.694 0.937 0.061
0.806 0.063 0.561
0.306 0.437 0.939
0.806 0.437 0.561
0.306 0.063 0.939
0.194 0.937 0.439
0.694 0.563 0.061
0.027 0.750 0.990
0.527 0.750 0.510
0.973 0.250 0.010
0.473 0.250 0.490
0.186 0.750 0.718
0.686 0.750 0.782
0.814 0.250 0.282
0.314 0.250 0.218
0.856 0.750 0.285
0.356 0.750 0.215
0.144 0.250 0.715
0.644 0.250 0.785
0.934 0.497 0.827
0.434 0.003 0.673
0.066 0.997 0.173
0.566 0.503 0.327
0.066 0.503 0.173
0.566 0.997 0.327
0.934 0.003 0.827
0.434 0.497 0.673
0.910 0.750 0.540
0.410 0.750 0.960
0.090 0.250 0.460
0.590 0.250 0.040
```

Values from the calculation:
**E**: -1100.5 eV/cell
**Formation energy from the elements**: -92 kJ per mole of atoms

=====

Entry 6:
Density functional theory data (r2SCAN) for an optimized crystal structure of LuZrSb.

Geometry as POSCAR:
```
LuZrSb
1.0
-2.121 2.121 8.129
2.121 -2.121 8.129
2.121 2.121 -8.129
Lu Zr Sb
2 2 2
direct
0.675 0.675 0.000
0.325 0.325 0.000
0.000 0.500 0.500
0.500 0.000 0.500
0.137 0.137 0.000
0.863 0.863 0.000
```

Values from the calculation:
**E**: -178.2 eV/cell
**Formation energy from the elements**: -82 kJ per mole of atoms